Compound: Eu3As2S8
Source: the Materials Project
Functional: PBE-GGA
Structure: relaxed

```
26
Lattice="4.6259 2.6708 9.1849 -4.6259 2.6708 9.1849 0.0000 -5.3415 9.1849" Properties=species:S:1:pos:R:3 pbc="T T T"
Eu -3.1415 -0.0997 11.4812
Eu -1.4844 -2.7705 16.0736
Eu 1.6571 -2.6708 11.4812
Eu -1.6571 2.6708 16.0736
Eu 1.4844 2.7705 11.4812
Eu 3.1415 0.0997 16.0737
As 0.0000 0.0000 4.3974
As 0.0000 0.0000 9.3800
As 0.0000 0.0000 18.1748
As 0.0000 0.0000 23.1574
S -2.5618 -2.3661 13.2607
S 0.0000 0.0000 2.1712
S -2.0641 0.3046 8.6682
S -3.3300 1.0355 14.2942
S 0.7682 -1.9399 8.6682
S 0.7682 -3.4016 14.2942
S 0.0000 0.0000 11.6062
S -1.2959 -1.6352 18.8866
S 1.2959 1.6352 8.6682
S 0.0000 0.0000 15.9486
S -0.7682 3.4017 13.2607
S -0.7682 1.9399 18.8866
S 3.3300 -1.0355 13.2607
S 2.0641 -0.3046 18.8866
S 0.0000 0.0000 25.3836
S 2.5618 2.3661 14.2942
```

total energy after the MP2020 corrections = -181.323 eV/cell
DFT total energy = -173.3 eV/cell

Compound: Eu3Si2As4
Source: the Materials Project
Functional: PBE-GGA
Structure: relaxed

```
36
Lattice="7.5022 0.0000 0.0000 0.0000 17.9677 0.0000 -2.6890 0.0000 6.8474" Properties=species:S:1:pos:R:3 pbc="T T T"
Eu 1.6466 3.3232 0.0900
Eu 0.3021 5.6606 3.5137
Eu 0.5187 1.1352 3.4965
Eu 1.8633 7.8487 0.0728
Eu 0.5999 10.0378 3.4225
Eu -0.7446 16.9137 6.8462
Eu 5.5578 1.0540 0.0013
Eu 4.2133 7.9298 3.4250
Eu 2.9499 10.1190 6.7746
Eu 4.2945 16.8325 3.3509
Eu 4.5111 12.3071 3.3337
Eu 3.1666 14.6444 6.7574
Si 1.5041 11.3076 0.2015
Si 0.1596 15.6439 3.6252
Si -0.1207 13.2987 6.2824
Si 1.2239 13.6528 2.8587
Si 3.5893 4.3149 3.9887
Si 4.9338 4.6690 0.5650
Si 4.6536 2.3238 3.2222
Si 3.3091 6.6601 6.6459
As -1.9514 10.0870 5.1621
As -0.6069 16.8645 1.7384
As -0.3115 12.3466 1.5276
As -1.6560 14.6049 4.9513
As 3.0703 10.1994 1.6271
As 1.7257 16.7521 5.0508
As 1.7864 12.5190 4.9604
As 3.1309 14.4325 1.5367
As 1.6823 3.5352 5.3107
As 3.0268 5.4487 1.8870
As 3.0875 1.2156 1.7966
As 1.7429 7.7682 5.2203
As 6.4692 3.3627 1.8961
As 5.1247 5.6211 5.3198
As 5.4201 1.1032 5.1090
As 6.7646 7.8807 1.6853
```

DFT total energy = -271.6 eV/cell

Compound: EuZn2As2
Source: the Materials Project
Functional: PBE-GGA
Structure: relaxed

```
5
Lattice="4.2481 0.0000 0.0000 -2.1241 3.6790 0.0000 0.0000 0.0000 7.1050" Properties=species:S:1:pos:R:3 pbc="T T T"
Eu 0.0000 0.0000 0.0000
Zn 0.0000 2.4527 2.6122
Zn 2.1241 1.2263 4.4927
As 0.0000 2.4527 5.2290
As 2.1241 1.2263 1.8760
```

DFT total energy = -25.5 eV/cell

Compound: Eu11Zn6As12
Source: the Materials Project
Functional: PBE-GGA
Structure: relaxed

```
29
Lattice="15.0600 -2.1548 0.0000 15.0600 2.1548 0.0000 -3.9431 0.0000 10.9847" Properties=species:S:1:pos:R:3 pbc="T T T"
Eu 0.0000 0.0000 0.0000
Eu -2.1684 0.0000 7.4430
Eu 1.3746 0.0000 5.6265
Eu 3.7209 0.0000 0.2280
Eu 4.6183 0.0000 3.8199
Eu 7.9598 0.0000 1.4968
Eu 18.2171 0.0000 9.4880
Eu 21.5586 0.0000 7.1649
Eu 22.4560 0.0000 10.7568
Eu 24.8023 0.0000 5.3583
Eu 28.3453 0.0000 3.5418
Zn 3.9565 0.0000 7.3529
Zn 11.0949 0.0000 2.7303
Zn 10.6154 0.0000 8.3946
Zn 15.5615 0.0000 2.5902
Zn 15.0820 0.0000 8.2544
Zn 22.2204 0.0000 3.6318
As 1.6638 0.0000 2.6116
As 1.2743 0.0000 8.6034
As 5.4388 0.0000 9.3834
As 7.4550 0.0000 4.9822
As 13.2298 0.0000 1.3279
As 11.8490 0.0000 5.3847
As 14.3279 0.0000 5.6001
As 12.9470 0.0000 9.6568
As 18.7218 0.0000 6.0025
As 20.7381 0.0000 1.6014
As 24.9026 0.0000 2.3814
As 24.5130 0.0000 8.3731
```

magnetization = 2.655 μB per atom
DFT total energy = -202.3 eV/cell

Compound: AsF5
Source: the Materials Project
Functional: PBE-GGA
Structure: relaxed

```
12
Lattice="5.9458 0.0000 0.0000 -2.9729 5.1492 0.0000 0.0000 0.0000 6.6130" Properties=species:S:1:pos:R:3 pbc="T T T"
As 0.0000 3.4328 1.6532
As 2.9729 1.7164 4.9597
F 0.0000 1.7169 1.6532
F -1.4860 4.2908 1.6532
F 1.4869 0.8585 4.9597
F 0.0000 3.4328 3.4031
F 0.0000 3.4328 6.5163
F 2.9729 1.7164 0.0966
F 2.9729 1.7164 3.2099
F 1.4860 4.2908 1.6532
F 4.4589 0.8585 4.9597
F 2.9729 3.4323 4.9597
```

total energy after the MP2020 corrections = -57.125 eV/cell
DFT total energy = -52.5 eV/cell

Compound: HgAs2HF13
Source: the Materials Project
Functional: PBE-GGA
Structure: relaxed

```
68
Lattice="9.7315 0.0000 0.0000 0.0000 9.7752 0.0000 -2.4645 0.0000 10.6475" Properties=species:S:1:pos:R:3 pbc="T T T"
Hg 1.2257 1.6359 5.1649
Hg -0.0066 3.2517 10.4887
Hg 7.2736 6.5235 0.1589
Hg 6.0414 8.1393 5.4826
As -1.9341 6.5003 8.7588
As -0.7019 8.1624 3.4350
As 4.3390 6.2555 2.0949
As 3.1068 8.4072 7.4187
As 4.1603 1.3679 3.2288
As 2.9280 3.5196 8.5526
As 7.9689 1.6127 7.2125
As 9.2012 3.2748 1.8887
H 0.5956 0.2395 9.8413
H 1.8279 4.6481 4.5176
H 5.4392 5.1270 6.1300
H 6.6714 9.5357 0.8062
F -0.8467 2.3644 5.7978
F 0.3856 2.5232 0.4740
F -1.1186 5.7736 7.4188
F 0.1136 8.8892 2.0950
F 0.2844 2.0717 2.9531
F -0.9478 2.8159 8.2769
F -1.2166 5.3417 9.9270
F 0.0156 9.3210 4.6032
F -0.3425 0.5616 7.3830
F 0.8897 4.3260 2.0592
F 0.5543 7.0139 3.7785
F -0.6779 7.6489 9.1022
F 0.0309 0.7158 10.4336
F 1.2631 4.1718 5.1098
F 2.6819 0.3865 3.2686
F 1.4496 4.5011 8.5924
F 2.9865 7.3253 1.9652
F 1.7543 7.3374 7.2889
F 3.6213 5.1734 0.8603
F 2.3890 9.4894 6.1841
F 2.1189 2.4078 7.4099
F 3.3512 2.4798 2.0861
F 3.6507 5.3173 3.4048
F 2.4185 9.3455 8.7285
F 3.3772 2.3130 4.6076
F 2.1449 2.5746 9.9314
F 5.1221 7.2006 0.7161
F 3.8899 7.4621 6.0399
F 4.8486 0.4297 1.9190
F 3.6163 4.4579 7.2427
F 3.9159 7.2954 8.5614
F 5.1481 7.3674 3.2376
F 4.8780 0.2858 4.4634
F 3.6458 4.6018 9.7872
F 5.5128 2.4378 3.3586
F 4.2806 2.4498 8.6823
F 5.8174 5.2741 2.0552
F 4.5852 9.3886 7.3789
F 6.0039 5.6034 5.5377
F 7.2362 9.0594 0.2139
F 7.9450 2.1263 1.5453
F 6.7127 2.7613 6.8690
F 6.3773 5.4492 8.5883
F 7.6096 9.2136 3.2645
F 7.2514 0.4541 6.0443
F 8.4837 4.4334 0.7205
F 8.2149 6.9593 2.3706
F 6.9827 7.7035 7.6944
F 7.1534 0.8860 8.5525
F 8.3857 4.0016 3.2288
F 6.8815 7.2520 10.1735
F 8.1137 7.4108 4.8497
```

total energy after the MP2020 corrections = -303.217 eV/cell
magnetization = 0.000 μB per atom
DFT total energy = -279.2 eV/cell

Compound: HgAs2H2F14
Source: the Materials Project
Functional: PBE-GGA
Structure: relaxed

```
19
Lattice="5.0328 0.0000 0.0000 1.3124 6.5499 0.0000 1.3931 0.2604 7.7136" Properties=species:S:1:pos:R:3 pbc="T T T"
Hg 0.0000 0.0000 0.0000
As 2.6012 1.8694 2.1231
As 5.1371 4.9409 5.5905
H 1.8859 2.7494 6.3045
H 5.8524 4.0609 1.4091
F 1.1966 2.6781 1.2515
F 1.7249 1.9190 3.6114
F 2.1998 1.8000 6.2647
F 1.7878 0.3138 1.6854
F 3.7699 5.7916 4.9202
F 4.3412 5.0591 7.2354
F 3.3118 3.4481 2.3366
F 4.4265 3.3622 5.3769
F 3.3971 1.7513 0.4782
F 3.9684 1.0187 2.7933
F 5.9505 6.4965 6.0282
F 5.5385 5.0103 1.4489
F 6.0134 4.8913 4.1022
F 6.5417 4.1322 6.4620
```

total energy after the MP2020 corrections = -84.636 eV/cell
DFT total energy = -78.2 eV/cell

Compound: Hg2As5H6O2F31
Source: the Materials Project
Functional: PBE-GGA
Structure: relaxed

```
92
Lattice="11.5475 0.0000 0.0000 0.0000 11.1234 0.0000 -3.6208 0.0000 9.7474" Properties=species:S:1:pos:R:3 pbc="T T T"
Hg -0.1180 1.6047 1.4116
Hg -1.9284 3.9569 6.2853
Hg 9.8551 7.1664 3.4621
Hg 8.0448 9.5186 8.3358
As -1.8104 0.0000 4.8737
As 0.0000 5.5617 0.0000
As 0.2456 7.5460 7.3886
As 2.0559 9.1391 2.5149
As -0.0396 2.0121 9.2776
As 1.7708 3.5495 4.4039
As 6.1560 7.5738 5.3434
As 7.9663 9.1112 0.4698
As 5.8708 1.9843 7.2325
As 7.6812 3.5774 2.3588
H 3.6089 6.3796 2.0696
H 1.7985 10.3055 6.9433
H 2.1830 0.5803 6.1334
H 3.9934 4.9814 1.2598
H 4.2711 6.4439 0.5906
H 2.4607 10.2412 5.4643
H 5.4660 0.8822 4.2831
H 3.6556 4.6795 9.1568
H 3.9333 6.1419 8.4876
H 5.7437 10.5431 3.6139
H 6.1282 0.8179 2.8041
H 4.3178 4.7438 7.6777
O 4.2592 5.9176 1.4597
O 2.4488 10.7675 6.3334
O 5.4779 0.3559 3.4140
O 3.6675 5.2058 8.2876
F 0.0000 0.0000 0.0000
F -1.8104 5.5617 4.8737
F -0.4000 5.9911 1.6939
F -2.2104 10.6940 6.5676
F -1.6313 1.7060 5.3503
F 0.1791 3.8557 0.4766
F -1.4262 8.0225 7.8091
F 0.3842 8.6625 2.9354
F 0.5253 2.7847 3.2406
F -1.2851 2.7770 8.1143
F 1.6955 5.8053 0.3408
F -0.1149 10.8798 5.2145
F -0.1316 7.7575 5.6780
F 1.6788 8.9276 0.8044
F -0.2665 5.8532 7.3621
F 1.5439 10.8319 2.4885
F 2.2688 2.0726 0.7437
F 0.4585 3.4890 5.6174
F -0.6130 0.4465 8.7550
F 1.1974 5.1152 3.8814
F 2.5137 7.4166 2.6594
F 0.7033 9.2685 7.5331
F 2.2043 1.8807 4.8751
F 4.0147 3.6810 0.0015
F 0.6249 7.3861 9.1458
F 2.4352 9.2990 4.2721
F 1.1601 2.0505 8.0026
F 2.9705 3.5112 3.1290
F 1.8885 7.1170 6.9959
F 3.6989 9.5681 2.1222
F 4.6817 1.3468 0.7017
F 2.8713 4.2148 5.5754
F 5.0554 6.9085 4.1720
F 3.2450 9.7765 9.0457
F 4.2278 1.5553 7.6252
F 6.0382 4.0064 2.7515
F 4.9562 7.6122 6.6184
F 6.7666 9.0728 1.7447
F 5.4915 1.8244 5.4752
F 7.3019 3.7373 0.6015
F 3.9120 7.4423 9.7459
F 5.7224 9.2427 4.8722
F 7.2234 1.8549 2.2143
F 5.4130 3.7068 7.0880
F 6.7294 6.0082 5.8660
F 8.5397 10.6769 0.9923
F 7.4683 7.6343 4.1300
F 5.6579 9.0507 9.0037
F 6.3828 0.2915 7.2589
F 8.1932 5.2702 2.3852
F 6.2479 2.1958 8.9430
F 8.0583 3.3659 4.0693
F 8.0416 0.2436 4.5329
F 6.2312 5.3181 9.4066
F 9.2118 8.3464 1.6331
F 7.4014 8.3387 6.5068
F 7.5425 2.4608 6.8120
F 9.3529 3.1008 1.9383
F 7.7476 7.2677 9.2708
F 9.5580 9.4174 4.3971
F 10.1371 0.4294 3.1797
F 8.3267 5.1323 8.0534
```

total energy after the MP2020 corrections = -425.075 eV/cell
magnetization = 0.000 μB per atom
DFT total energy = -393.7 eV/cell

no.,energy of formation (eV/atom)
1,-1.34
2,-0.85
3,-0.69
4,-0.90
5,-2.39
6,-2.23
7,-2.18
8,-2.15